Record 1
## LaSb3O9 (meta-GGA r2SCAN)

Data for crystalline LaSb3O9 at its relaxed geometry.

## Properties
E_form ... -2064 meV/atom
Magnetization ... 0.00 μB per cell

Cell: 5.520 5.520 11.810 Å, 90.00 90.00 107.19°
Element x y z (fractional)
La: 0.755 0.245 0.750
La: 0.245 0.755 0.250
Sb: 0.122 0.878 0.908
Sb: 0.878 0.122 0.408
Sb: 0.878 0.122 0.092
Sb: 0.122 0.878 0.592
Sb: 0.500 0.500 0.000
Sb: 0.500 0.500 0.500
O: 0.940 0.060 0.250
O: 0.060 0.940 0.750
O: 0.104 0.896 0.074
O: 0.896 0.104 0.574
O: 0.896 0.104 0.926
O: 0.104 0.896 0.426
O: 0.337 0.663 0.884
O: 0.663 0.337 0.384
O: 0.417 0.192 0.598
O: 0.583 0.808 0.098
O: 0.192 0.417 0.402
O: 0.808 0.583 0.902
O: 0.583 0.808 0.402
O: 0.417 0.192 0.902
O: 0.808 0.583 0.598
O: 0.192 0.417 0.098
O: 0.337 0.663 0.616
O: 0.663 0.337 0.116

---

Record 2
## LaSbO4 (meta-GGA r2SCAN)

Data for crystalline LaSbO4 at its relaxed geometry.

## Properties
E_form ... -2631 meV/atom
Magnetization ... 0.00 μB per cell

Cell: 5.086 5.411 13.623 Å, 70.74 90.00 90.00°
Element x y z (fractional)
La: 0.803 0.655 0.336
La: 0.697 0.655 0.836
La: 0.197 0.345 0.664
La: 0.303 0.345 0.164
Sb: 0.751 0.918 0.069
Sb: 0.749 0.918 0.569
Sb: 0.249 0.082 0.931
Sb: 0.251 0.082 0.431
O: 0.436 0.756 0.027
O: 0.064 0.756 0.527
O: 0.564 0.244 0.973
O: 0.936 0.244 0.473
O: 0.602 0.992 0.187
O: 0.898 0.992 0.687
O: 0.398 0.008 0.813
O: 0.102 0.008 0.313
O: 0.072 0.136 0.056
O: 0.428 0.136 0.556
O: 0.928 0.864 0.944
O: 0.572 0.864 0.444
O: 0.876 0.586 0.167
O: 0.624 0.586 0.667
O: 0.124 0.414 0.833
O: 0.376 0.414 0.333

---

Record 3
## La2Se3O9 (meta-GGA r2SCAN)

Data for crystalline La2Se3O9 at its relaxed geometry.

## Properties
E_form ... -2067 meV/atom
Magnetization ... 0.00 μB per cell

Cell: 7.092 8.476 14.297 Å, 90.00 90.00 90.00°
Element x y z (fractional)
La: 0.180 0.301 0.064
La: 0.680 0.199 0.936
La: 0.320 0.801 0.436
La: 0.820 0.699 0.564
La: 0.820 0.699 0.936
La: 0.320 0.801 0.064
La: 0.680 0.199 0.564
La: 0.180 0.301 0.436
Se: 0.181 0.048 0.875
Se: 0.681 0.452 0.125
Se: 0.319 0.548 0.625
Se: 0.819 0.952 0.375
Se: 0.592 0.956 0.750
Se: 0.092 0.544 0.250
Se: 0.908 0.456 0.750
Se: 0.408 0.044 0.250
Se: 0.819 0.952 0.125
Se: 0.319 0.548 0.875
Se: 0.681 0.452 0.375
Se: 0.181 0.048 0.625
O: 0.739 0.943 0.845
O: 0.239 0.557 0.155
O: 0.761 0.443 0.655
O: 0.261 0.057 0.345
O: 0.261 0.057 0.155
O: 0.761 0.443 0.845
O: 0.239 0.557 0.345
O: 0.739 0.943 0.655
O: 0.433 0.844 0.250
O: 0.933 0.656 0.750
O: 0.067 0.344 0.250
O: 0.567 0.156 0.750
O: 0.089 0.883 0.923
O: 0.589 0.617 0.077
O: 0.411 0.383 0.577
O: 0.911 0.117 0.423
O: 0.032 0.199 0.597
O: 0.532 0.301 0.403
O: 0.468 0.699 0.903
O: 0.968 0.801 0.097
O: 0.968 0.801 0.403
O: 0.468 0.699 0.597
O: 0.532 0.301 0.097
O: 0.032 0.199 0.903
O: 0.351 0.074 0.540
O: 0.851 0.426 0.460
O: 0.149 0.574 0.960
O: 0.649 0.926 0.040
O: 0.649 0.926 0.460
O: 0.149 0.574 0.540
O: 0.851 0.426 0.040
O: 0.351 0.074 0.960
O: 0.089 0.883 0.577
O: 0.589 0.617 0.423
O: 0.411 0.383 0.923
O: 0.911 0.117 0.077